Computed, not measured: a relaxed Na7Fe3O8 crystal at the meta-GGA r2SCAN level of DFT.

```
Na7Fe3O8
1.0
5.7529 0.0411 1.1719
2.1917 7.4393 2.9966
-0.0177 0.0912 11.2616
Na Fe O
14 6 16
Cartesian
3.8122 3.3237 5.0729 Na
4.1148 4.2478 10.3572 Na
5.5119 1.7217 9.1581 Na
2.4151 5.8498 6.2720 Na
2.9423 2.7451 7.9016 Na
4.9847 4.8264 7.5286 Na
4.3041 0.5733 6.4010 Na
3.6229 6.9983 9.0291 Na
3.6555 6.4624 3.4613 Na
4.2715 1.1092 11.9689 Na
2.5414 3.3867 2.2228 Na
5.3856 4.1848 13.2073 Na
5.1426 7.0648 12.2257 Na
2.7844 0.5068 3.2044 Na
6.3003 5.5451 4.8331 Fe
0.9246 2.3513 5.0601 Fe
7.0024 5.2203 10.3700 Fe
2.1623 6.3701 12.1206 Fe
5.7647 1.2014 3.3095 Fe
1.6267 2.0265 10.5970 Fe
1.5401 3.9709 4.1821 O
5.6111 5.8953 9.3817 O
6.2444 6.0652 14.2118 O
1.6826 1.5064 1.2183 O
0.6886 0.5613 9.8126 O
7.2384 7.0103 5.6176 O
5.1045 2.6448 7.1338 O
2.8225 4.9267 8.2963 O
4.5660 5.6169 5.4100 O
3.3610 1.9546 10.0202 O
4.4040 2.3696 3.0162 O
2.3159 1.6762 6.0484 O
3.5230 5.2020 12.4139 O
0.5358 0.7753 3.9165 O
7.3913 6.7963 11.5136 O
6.3869 3.6007 11.2480 O
```

Summary:
SG	P-1
energy of formation	-1686	meV per atom